1.
HfMg149 | GGA-PBE | optimized geometry

Lattice parameters (Å, degrees): 15.9468 15.9468 15.5987 90.00 90.00 120.00
Closest atoms and distances in Å follow each position.
Sites, in units of the cell vectors:
Hf1 0.0000 0.0000 0.0000  12 Mg 3.15-3.16
Mg1 0.0000 0.0000 0.3344  12 Mg 3.17-3.21
Mg2 0.0000 0.0000 0.6656  12 Mg 3.17-3.21
Mg3 0.0002 0.1999 0.3323  12 Mg 3.18-3.20
Mg4 0.0002 0.1999 0.6677  12 Mg 3.18-3.20
Mg5 0.9999 0.3986 0.0000  12 Mg 3.18-3.23
Mg6 0.9999 0.3999 0.3334  12 Mg 3.18-3.19
Mg7 0.9999 0.3999 0.6666  12 Mg 3.18-3.19
Mg8 0.9999 0.6000 0.3334  12 Mg 3.18-3.19
Mg9 0.9999 0.6000 0.6666  12 Mg 3.18-3.19
Mg10 0.9999 0.6013 0.0000  12 Mg 3.18-3.23
Mg11 0.0002 0.8003 0.3323  12 Mg 3.18-3.20
Mg12 0.0002 0.8003 0.6677  12 Mg 3.18-3.20
Mg13 0.0013 0.1986 0.0000  11 Mg 3.13-3.23, 1 Hf 3.16
Mg14 0.0013 0.8027 0.0000  11 Mg 3.13-3.23, 1 Hf 3.16
Mg15 0.0660 0.1321 0.1647  11 Mg 3.14-3.21, 1 Hf 3.15
Mg16 0.0660 0.1321 0.8353  11 Mg 3.14-3.21, 1 Hf 3.15
Mg17 0.0665 0.3331 0.5000  12 Mg 3.18-3.20
Mg18 0.0658 0.5329 0.5000  12 Mg 3.18-3.20
Mg19 0.0665 0.7334 0.5000  12 Mg 3.18-3.20
Mg20 0.0660 0.9340 0.1647  11 Mg 3.14-3.21, 1 Hf 3.15
Mg21 0.0660 0.9340 0.8353  11 Mg 3.14-3.21, 1 Hf 3.15
Mg22 0.0668 0.1335 0.5000  12 Mg 3.17-3.20
Mg23 0.0666 0.5333 0.1668  12 Mg 3.18-3.20
Mg24 0.0666 0.5333 0.8332  12 Mg 3.18-3.20
Mg25 0.0668 0.9332 0.5000  12 Mg 3.17-3.20
Mg26 0.0676 0.3343 0.1669  12 Mg 3.18-3.21
Mg27 0.0676 0.3343 0.8331  12 Mg 3.18-3.21
Mg28 0.0676 0.7333 0.1669  12 Mg 3.18-3.21
Mg29 0.0676 0.7333 0.8331  12 Mg 3.18-3.21
Mg30 0.1973 0.1986 0.0000  11 Mg 3.13-3.23, 1 Hf 3.16
Mg31 0.1973 0.9987 0.0000  11 Mg 3.13-3.23, 1 Hf 3.16
Mg32 0.1997 0.9998 0.3323  12 Mg 3.18-3.20
Mg33 0.1997 0.9998 0.6677  12 Mg 3.18-3.20
Mg34 0.1997 0.1999 0.3323  12 Mg 3.18-3.20
Mg35 0.1997 0.1999 0.6677  12 Mg 3.18-3.20
Mg36 0.2002 0.4004 0.3339  12 Mg 3.17-3.19
Mg37 0.2002 0.4004 0.6661  12 Mg 3.17-3.19
Mg38 0.2000 0.6000 0.0000  12 Mg 3.18-3.20
Mg39 0.1999 0.5999 0.3336  12 Mg 3.18-3.19
Mg40 0.1999 0.5999 0.6664  12 Mg 3.18-3.19
Mg41 0.2002 0.7998 0.3339  12 Mg 3.17-3.19
Mg42 0.2002 0.7998 0.6661  12 Mg 3.17-3.19
Mg43 0.2005 0.4010 0.0000  12 Mg 3.18-3.20
Mg44 0.2005 0.7995 0.0000  12 Mg 3.18-3.20
Mg45 0.2655 0.1327 0.1654  12 Mg 3.18-3.21
Mg46 0.2655 0.1327 0.8346  12 Mg 3.18-3.21
Mg47 0.2665 0.1333 0.5000  12 Mg 3.19-3.20
Mg48 0.2666 0.3331 0.5000  12 Mg 3.18-3.20
Mg49 0.2667 0.3343 0.1669  12 Mg 3.18-3.21
Mg50 0.2667 0.3343 0.8331  12 Mg 3.18-3.21
Mg51 0.2666 0.5331 0.5000  12 Mg 3.17-3.20
Mg52 0.2670 0.5339 0.1671  12 Mg 3.18-3.19
Mg53 0.2670 0.5339 0.8329  12 Mg 3.18-3.19
Mg54 0.2670 0.7330 0.1671  12 Mg 3.18-3.19
Mg55 0.2666 0.7334 0.5000  12 Mg 3.17-3.20
Mg56 0.2670 0.7330 0.8329  12 Mg 3.18-3.19
Mg57 0.2667 0.9324 0.1669  12 Mg 3.18-3.21
Mg58 0.2667 0.9324 0.8331  12 Mg 3.18-3.21
Mg59 0.2666 0.9335 0.5000  12 Mg 3.18-3.20
Mg60 0.3987 0.0001 0.0000  12 Mg 3.18-3.23
Mg61 0.3987 0.3986 0.0000  12 Mg 3.18-3.23
Mg62 0.4000 0.0001 0.3334  12 Mg 3.18-3.19
Mg63 0.4000 0.0001 0.6666  12 Mg 3.18-3.19
Mg64 0.3998 0.1999 0.3332  12 Mg 3.18-3.21
Mg65 0.3998 0.1999 0.6668  12 Mg 3.18-3.21
Mg66 0.4000 0.3999 0.3334  12 Mg 3.18-3.19
Mg67 0.4000 0.3999 0.6666  12 Mg 3.18-3.19
Mg68 0.4000 0.6000 0.0000  12 Mg 3.18-3.20
Mg69 0.4001 0.5999 0.3336  12 Mg 3.18-3.19
Mg70 0.4001 0.5999 0.6664  12 Mg 3.18-3.19
Mg71 0.4000 0.8000 0.0000  12 Mg 3.18-3.20
Mg72 0.4001 0.8001 0.3336  12 Mg 3.18-3.19
Mg73 0.4001 0.8001 0.6664  12 Mg 3.18-3.19
Mg74 0.4005 0.2003 0.0000  12 Mg 3.18-3.23
Mg75 0.4659 0.1330 0.1666  12 Mg 3.18-3.21
Mg76 0.4659 0.1330 0.8334  12 Mg 3.18-3.21
Mg77 0.4659 0.3329 0.1666  12 Mg 3.18-3.21
Mg78 0.4659 0.3329 0.8334  12 Mg 3.18-3.21
Mg79 0.4661 0.7330 0.1671  12 Mg 3.18-3.19
Mg80 0.4661 0.7330 0.8329  12 Mg 3.18-3.19
Mg81 0.4670 0.1341 0.5000  12 Mg 3.17-3.20
Mg82 0.4670 0.3329 0.5000  12 Mg 3.17-3.20
Mg83 0.4667 0.5333 0.1668  12 Mg 3.18-3.20
Mg84 0.4671 0.5329 0.5000  12 Mg 3.18-3.20
Mg85 0.4667 0.5333 0.8332  12 Mg 3.18-3.20
Mg86 0.4669 0.7334 0.5000  12 Mg 3.17-3.20
Mg87 0.4667 0.9334 0.1668  12 Mg 3.18-3.20
Mg88 0.4667 0.9334 0.8332  12 Mg 3.18-3.20
Mg89 0.4671 0.9342 0.5000  12 Mg 3.18-3.20
Mg90 0.5990 0.7995 0.0000  12 Mg 3.18-3.20
Mg91 0.6001 0.0001 0.3334  12 Mg 3.18-3.19
Mg92 0.6001 0.0001 0.6666  12 Mg 3.18-3.19
Mg93 0.5998 0.1995 0.0000  12 Mg 3.18-3.20
Mg94 0.6000 0.1999 0.3329  12 Mg 3.19
Mg95 0.6000 0.1999 0.6671  12 Mg 3.19
Mg96 0.5998 0.4002 0.0000  12 Mg 3.18-3.20
Mg97 0.6000 0.4000 0.3329  12 Mg 3.19
Mg98 0.6000 0.4000 0.6671  12 Mg 3.19
Mg99 0.6001 0.6000 0.3334  12 Mg 3.18-3.19
Mg100 0.6001 0.6000 0.6666  12 Mg 3.18-3.19
Mg101 0.5996 0.7998 0.3339  12 Mg 3.17-3.19
Mg102 0.5996 0.7998 0.6661  12 Mg 3.17-3.19
Mg103 0.6014 0.0001 0.0000  12 Mg 3.18-3.23
Mg104 0.6014 0.6013 0.0000  12 Mg 3.18-3.23
Mg105 0.6657 0.7333 0.1669  12 Mg 3.18-3.21
Mg106 0.6657 0.7333 0.8331  12 Mg 3.18-3.21
Mg107 0.6657 0.9324 0.1669  12 Mg 3.18-3.21
Mg108 0.6657 0.9324 0.8331  12 Mg 3.18-3.21
Mg109 0.6671 0.1330 0.1666  12 Mg 3.18-3.21
Mg110 0.6671 0.1330 0.8334  12 Mg 3.18-3.21
Mg111 0.6671 0.1341 0.5000  12 Mg 3.17-3.20
Mg112 0.6667 0.3333 0.1662  12 Mg 3.18-3.20
Mg113 0.6667 0.3333 0.5000  12 Mg 3.18-3.19
Mg114 0.6667 0.3333 0.8338  12 Mg 3.18-3.20
Mg115 0.6671 0.5330 0.5000  12 Mg 3.17-3.20
Mg116 0.6671 0.5341 0.1666  12 Mg 3.18-3.21
Mg117 0.6671 0.5341 0.8334  12 Mg 3.18-3.21
Mg118 0.6669 0.7334 0.5000  12 Mg 3.18-3.20
Mg119 0.6669 0.9335 0.5000  12 Mg 3.18-3.20
Mg120 0.8001 0.9998 0.3323  12 Mg 3.18-3.20
Mg121 0.8001 0.9998 0.6677  12 Mg 3.18-3.20
Mg122 0.7997 0.2003 0.0000  12 Mg 3.18-3.23
Mg123 0.8001 0.1999 0.3332  12 Mg 3.18-3.21
Mg124 0.8001 0.1999 0.6668  12 Mg 3.18-3.21
Mg125 0.8005 0.4002 0.0000  12 Mg 3.18-3.20
Mg126 0.8001 0.4000 0.3329  12 Mg 3.19
Mg127 0.8001 0.4000 0.6671  12 Mg 3.19
Mg128 0.7997 0.5995 0.0000  12 Mg 3.18-3.23
Mg129 0.8001 0.6002 0.3332  12 Mg 3.18-3.21
Mg130 0.8001 0.6002 0.6668  12 Mg 3.18-3.21
Mg131 0.8001 0.8003 0.3323  12 Mg 3.18-3.20
Mg132 0.8001 0.8003 0.6677  12 Mg 3.18-3.20
Mg133 0.8014 0.8027 0.0000  11 Mg 3.13-3.23, 1 Hf 3.16
Mg134 0.8014 0.9987 0.0000  11 Mg 3.13-3.23, 1 Hf 3.16
Mg135 0.8659 0.3329 0.5000  12 Mg 3.17-3.20
Mg136 0.8659 0.5330 0.5000  12 Mg 3.17-3.20
Mg137 0.8665 0.9332 0.5000  12 Mg 3.17-3.20
Mg138 0.8673 0.1327 0.1654  12 Mg 3.18-3.21
Mg139 0.8667 0.1333 0.5000  12 Mg 3.19-3.20
Mg140 0.8673 0.1327 0.8346  12 Mg 3.18-3.21
Mg141 0.8670 0.3329 0.1666  12 Mg 3.18-3.21
Mg142 0.8670 0.3329 0.8334  12 Mg 3.18-3.21
Mg143 0.8670 0.5341 0.1666  12 Mg 3.18-3.21
Mg144 0.8670 0.5341 0.8334  12 Mg 3.18-3.21
Mg145 0.8667 0.7335 0.5000  12 Mg 3.19-3.20
Mg146 0.8673 0.7345 0.1654  12 Mg 3.18-3.21
Mg147 0.8673 0.7345 0.8346  12 Mg 3.18-3.21
Mg148 0.8679 0.9340 0.1647  11 Mg 3.14-3.21, 1 Hf 3.15
Mg149 0.8679 0.9340 0.8353  11 Mg 3.14-3.21, 1 Hf 3.15

Results
The size of the total moment comes out at 0.95 μB/cell. The calculation puts the mass density at 1.8 g/cm3. As for the formation enthalpy at 0 K: -0.0195 eV per atom. Its space group is No. 187.

2.
LaAlRh | GGA-PBE | optimized geometry

Lattice parameters (Å, degrees): 7.2982 4.3085 16.2396 90.00 90.00 90.00
Closest atoms and distances in Å follow each position.
Sites, in units of the cell vectors:
La1 0.0105 0.2500 0.2186  5 Rh 2.80-3.12
La2 0.1519 0.2500 0.4388  5 Rh 2.93-3.21, 1 Al 3.25
La3 0.3481 0.7500 0.9388  5 Rh 2.93-3.21, 1 Al 3.25
La4 0.4895 0.7500 0.7186  5 Rh 2.80-3.12
La5 0.5105 0.2500 0.2814  5 Rh 2.80-3.12
La6 0.6519 0.2500 0.0612  5 Rh 2.93-3.21, 1 Al 3.25
La7 0.8481 0.7500 0.5612  5 Rh 2.93-3.21, 1 Al 3.25
La8 0.9895 0.7500 0.7814  5 Rh 2.80-3.12
Al1 0.0066 0.2500 0.9403  4 Rh 2.63-2.79, 3 Al 2.90-2.91
Al2 0.1599 0.2500 0.6487  4 Rh 2.65-2.92, 1 Al 2.91
Al3 0.3401 0.7500 0.1487  4 Rh 2.65-2.92, 1 Al 2.91
Al4 0.4934 0.7500 0.4403  4 Rh 2.63-2.79, 3 Al 2.90-2.91
Al5 0.5066 0.2500 0.5597  4 Rh 2.63-2.79, 3 Al 2.90-2.91
Al6 0.6599 0.2500 0.8513  4 Rh 2.65-2.92, 1 Al 2.91
Al7 0.8401 0.7500 0.3513  4 Rh 2.65-2.92, 1 Al 2.91
Al8 0.9934 0.7500 0.0597  4 Rh 2.63-2.79, 3 Al 2.90-2.91
Rh1 0.2155 0.2500 0.0725  5 Al 2.63-2.70, 1 La 2.80
Rh2 0.2207 0.7500 0.3202  3 Al 2.79-2.92, 6 La 2.93-3.12
Rh3 0.2793 0.2500 0.8202  3 Al 2.79-2.92, 6 La 2.93-3.12
Rh4 0.2845 0.7500 0.5725  5 Al 2.63-2.70, 1 La 2.80
Rh5 0.7155 0.2500 0.4275  5 Al 2.63-2.70, 1 La 2.80
Rh6 0.7207 0.7500 0.1798  3 Al 2.79-2.92, 6 La 2.93-3.12
Rh7 0.7793 0.2500 0.6798  3 Al 2.79-2.92, 6 La 2.93-3.12
Rh8 0.7845 0.7500 0.9275  5 Al 2.63-2.70, 1 La 2.80

Results
The calculation puts the mass density at 7.0 g/cm3. As for the formation enthalpy at 0 K: -0.8328 eV per atom. Its space group is No. 62.

3.
TiSCl | GGA-PBE | optimized geometry

Lattice parameters (Å, degrees): 3.4391 4.8342 7.5786 90.00 90.00 90.00
Closest atoms and distances in Å follow each position.
Sites, in units of the cell vectors:
Ti1 0.2500 0.2500 0.1038  4 S 2.42-2.44, 2 Cl 2.46
Ti2 0.7500 0.7500 0.8962  4 S 2.42-2.44, 2 Cl 2.46
S1 0.2500 0.7500 0.1254  4 Ti 2.42-2.44
S2 0.7500 0.2500 0.8746  4 Ti 2.42-2.44
Cl1 0.2500 0.7500 0.6646  2 Ti 2.46
Cl2 0.7500 0.2500 0.3354  2 Ti 2.46

Results
The calculation puts the mass density at 3.0 g/cm3. As for the formation enthalpy at 0 K: -1.8664 eV per atom. Its space group is No. 59.

Number 2 is which compound? LaAlRh

Which of these has the highest formation enthalpy at 0 K? HfMg149

Which of these has the highest formation enthalpy at 0 K? HfMg149